# 1
A plane-wave DFT calculation with meta-GGA r2SCAN was carried out for an optimized crystal structure of TiTc2Mo.

Energy relative to the elements in kJ/mol of formula units: -152
Calculated volume in Å³ per atom: 14.907
Space group: No. 225
Crystal system: cubic

Cell lengths 4.385, 4.385, 4.385 Å; angles 60.00, 60.00, 60.00 degrees
Atoms (fractional coordinates):
1 Ti 0.000 0.000 0.000
2 Tc 0.250 0.250 0.250
3 Tc 0.750 0.750 0.750
4 Mo 0.500 0.500 0.500

---

# 2
A plane-wave DFT calculation with meta-GGA r2SCAN was carried out for an optimized crystal structure of SrZnSb2.

Energy relative to the elements in kJ/mol of formula units: -257
Calculated volume in Å³ per atom: 28.232
Space group: No. 62
Crystal system: orthorhombic

Cell lengths 23.050, 4.404, 4.450 Å; angles 90.00, 90.00, 90.00 degrees
Atoms (fractional coordinates):
1 Sr 0.116 0.250 0.226
2 Sr 0.384 0.750 0.726
3 Sr 0.616 0.250 0.274
4 Sr 0.884 0.750 0.774
5 Zn 0.250 0.250 0.725
6 Zn 0.250 0.750 0.225
7 Zn 0.750 0.250 0.775
8 Zn 0.750 0.750 0.275
9 Sb 0.001 0.250 0.716
10 Sb 0.178 0.750 0.726
11 Sb 0.322 0.250 0.226
12 Sb 0.499 0.750 0.216
13 Sb 0.501 0.250 0.784
14 Sb 0.678 0.750 0.774
15 Sb 0.822 0.250 0.274
16 Sb 0.999 0.750 0.284

---

# 3
A plane-wave DFT calculation with meta-GGA r2SCAN was carried out for an optimized crystal structure of Nd2Mg.

E above lowest polymorph in eV per atom: 0.0078
Energy relative to the elements in kJ/mol of formula units: -19
Calculated volume in Å³ per atom: 31.721
Space group: No. 12
Crystal system: monoclinic

Cell lengths 6.936, 6.936, 7.756 Å; angles 105.87, 105.87, 32.15 degrees
Atoms (fractional coordinates):
1 Nd 0.149 0.149 0.065
2 Nd 0.163 0.163 0.591
3 Nd 0.837 0.837 0.409
4 Nd 0.851 0.851 0.935
5 Mg 0.492 0.492 0.730
6 Mg 0.508 0.508 0.270

---

# 4
A plane-wave DFT calculation with meta-GGA r2SCAN was carried out for an optimized crystal structure of CaPt2.

Energy relative to the elements in kJ/mol of formula units: -280
Calculated volume in Å³ per atom: 18.805
Space group: No. 194
Crystal system: hexagonal

Cell lengths 5.407, 5.407, 8.914 Å; angles 90.00, 90.00, 120.00 degrees
Atoms (fractional coordinates):
1 Ca 0.333 0.667 0.065
2 Ca 0.333 0.667 0.435
3 Ca 0.667 0.333 0.565
4 Ca 0.667 0.333 0.935
5 Pt 0.000 0.000 0.000
6 Pt 0.000 0.000 0.500
7 Pt 0.169 0.338 0.750
8 Pt 0.169 0.831 0.750
9 Pt 0.338 0.169 0.250
10 Pt 0.662 0.831 0.750
11 Pt 0.831 0.169 0.250
12 Pt 0.831 0.662 0.250

---

# 5
A plane-wave DFT calculation with meta-GGA r2SCAN was carried out for an optimized crystal structure of Li9Co7O16.

E above lowest polymorph in eV per atom: 0.0020
Energy relative to the elements in kJ/mol of formula units: -5474
Calculated volume in Å³ per atom: 7.877
Space group: No. 2
Crystal system: triclinic

Cell lengths 6.302, 6.307, 7.416 Å; angles 75.47, 65.23, 72.01 degrees
Atoms (fractional coordinates):
1 Li 0.000 0.000 0.000
2 Li 0.063 0.428 0.817
3 Li 0.186 0.313 0.435
4 Li 0.306 0.184 0.061
5 Li 0.427 0.060 0.696
6 Li 0.573 0.940 0.304
7 Li 0.694 0.816 0.939
8 Li 0.814 0.687 0.565
9 Li 0.937 0.572 0.183
10 Co 0.124 0.876 0.628
11 Co 0.248 0.753 0.247
12 Co 0.372 0.628 0.876
13 Co 0.500 0.500 0.500
14 Co 0.628 0.372 0.124
15 Co 0.752 0.247 0.753
16 Co 0.876 0.124 0.372
17 O 0.055 0.719 0.888
18 O 0.079 0.148 0.712
19 O 0.175 0.610 0.520
20 O 0.202 0.018 0.352
21 O 0.297 0.484 0.147
22 O 0.345 0.882 0.977
23 O 0.424 0.358 0.771
24 O 0.453 0.768 0.603
25 O 0.547 0.232 0.397
26 O 0.576 0.642 0.229
27 O 0.655 0.118 0.023
28 O 0.703 0.516 0.853
29 O 0.798 0.982 0.648
30 O 0.825 0.390 0.480
31 O 0.921 0.852 0.288
32 O 0.945 0.281 0.112

---

# 6
A plane-wave DFT calculation with meta-GGA r2SCAN was carried out for an optimized crystal structure of LiTbGe.

Energy relative to the elements in kJ/mol of formula units: -239
Calculated volume in Å³ per atom: 20.432
Space group: No. 189
Crystal system: hexagonal

Cell lengths 7.075, 7.075, 4.242 Å; angles 90.00, 90.00, 120.00 degrees
Atoms (fractional coordinates):
1 Li 0.000 0.233 0.000
2 Li 0.233 0.000 0.000
3 Li 0.767 0.767 0.000
4 Tb 0.000 0.578 0.500
5 Tb 0.422 0.422 0.500
6 Tb 0.578 0.000 0.500
7 Ge 0.000 0.000 0.500
8 Ge 0.333 0.667 0.000
9 Ge 0.667 0.333 0.000

---

# 7
A plane-wave DFT calculation with meta-GGA r2SCAN was carried out for an optimized crystal structure of Li5Tl2.

Energy relative to the elements in kJ/mol of formula units: -190
Calculated volume in Å³ per atom: 18.370
Space group: No. 166
Crystal system: trigonal

Cell lengths 7.280, 7.280, 7.280 Å; angles 37.56, 37.56, 37.56 degrees
Atoms (fractional coordinates):
1 Li 0.000 0.000 0.000
2 Li 0.146 0.146 0.146
3 Li 0.287 0.287 0.287
4 Li 0.713 0.713 0.713
5 Li 0.854 0.854 0.854
6 Tl 0.425 0.425 0.425
7 Tl 0.575 0.575 0.575

---

# 8
A plane-wave DFT calculation with meta-GGA r2SCAN was carried out for an optimized crystal structure of Th7Pt3.

Energy relative to the elements in kJ/mol of formula units: -784
Calculated volume in Å³ per atom: 28.314
Space group: No. 186
Crystal system: hexagonal

Cell lengths 10.119, 10.119, 6.386 Å; angles 90.00, 90.00, 120.00 degrees
Atoms (fractional coordinates):
1 Th 0.085 0.543 0.000
2 Th 0.129 0.258 0.711
3 Th 0.129 0.871 0.711
4 Th 0.258 0.129 0.211
5 Th 0.333 0.667 0.558
6 Th 0.457 0.543 0.000
7 Th 0.457 0.915 0.000
8 Th 0.543 0.085 0.500
9 Th 0.543 0.457 0.500
10 Th 0.667 0.333 0.058
11 Th 0.742 0.871 0.711
12 Th 0.871 0.129 0.211
13 Th 0.871 0.742 0.211
14 Th 0.915 0.457 0.500
15 Pt 0.188 0.377 0.277
16 Pt 0.188 0.812 0.277
17 Pt 0.377 0.188 0.777
18 Pt 0.623 0.812 0.277
19 Pt 0.812 0.188 0.777
20 Pt 0.812 0.623 0.777